Compound: RbLiCl2
Source: the Materials Project
Functional: meta-GGA r2SCAN
Structure: relaxed

a = 7.4997 Å, b = 7.4997 Å, c = 7.1844 Å
α = 90.00°, β = 90.00°, γ = 148.10°
Last column: nearest neighbours and their distance in Å.
Fractional coordinates of all 8 atoms:
Rb: 0.1294 0.8706 0.7500  8 Cl 3.31-3.70
Rb: 0.8706 0.1294 0.2500  8 Cl 3.31-3.70
Li: 0.3959 0.6041 0.7500  4 Cl 2.34-2.41
Li: 0.6041 0.3959 0.2500  4 Cl 2.34-2.41
Cl: 0.1901 0.8099 0.2500  2 Li 2.41
Cl: 0.5000 0.5000 0.0000  2 Li 2.34
Cl: 0.5000 0.5000 0.5000  2 Li 2.34
Cl: 0.8099 0.1901 0.7500  2 Li 2.41

Results
For the formation enthalpy at 0 K, the calculation gives -2.10 eV per atom. As for the space group: Cmcm.